{
  "formula": "Sr6Ca2Mn3Fe5O20",
  "functional": "PBE+U",
  "state": "optimized geometry",
  "cell": [[11.1478, 0.0000, 0.0000], [-0.0417, 11.3063, 0.0000], [-5.5116, -5.6280, 15.7893]],
  "species": ["Sr", "Sr", "Sr", "Sr", "Sr", "Sr", "Sr", "Sr", "Sr", "Sr", "Sr", "Sr", "Sr", "Sr", "Sr", "Sr", "Sr", "Sr", "Sr", "Sr", "Sr", "Sr", "Sr", "Sr", "Ca", "Ca", "Ca", "Ca", "Ca", "Ca", "Ca", "Ca", "Mn", "Mn", "Mn", "Mn", "Mn", "Mn", "Mn", "Mn", "Mn", "Mn", "Mn", "Mn", "Fe", "Fe", "Fe", "Fe", "Fe", "Fe", "Fe", "Fe", "Fe", "Fe", "Fe", "Fe", "Fe", "Fe", "Fe", "Fe", "Fe", "Fe", "Fe", "Fe", "O", "O", "O", "O", "O", "O", "O", "O", "O", "O", "O", "O", "O", "O", "O", "O", "O", "O", "O", "O", "O", "O", "O", "O", "O", "O", "O", "O", "O", "O", "O", "O", "O", "O", "O", "O", "O", "O", "O", "O", "O", "O", "O", "O", "O", "O", "O", "O", "O", "O", "O", "O", "O", "O", "O", "O", "O", "O", "O", "O", "O", "O", "O", "O", "O", "O", "O", "O", "O", "O", "O", "O", "O", "O", "O", "O", "O", "O", "O", "O"],
  "fractional_positions": [[0.0000, 0.0000, 0.0000], [0.0004, 0.4945, 0.4955], [0.0006, 0.9932, 0.4957], [0.0020, 0.4975, 0.0001], [0.1403, 0.1414, 0.2794], [0.1428, 0.1359, 0.7810], [0.1430, 0.6351, 0.7807], [0.2503, 0.2340, 0.4959], [0.2514, 0.2366, 0.0014], [0.2506, 0.7362, 0.0023], [0.3923, 0.3756, 0.7800], [0.3921, 0.8767, 0.7791], [0.4999, 0.9936, 0.4958], [0.5012, 0.9972, 0.9995], [0.5019, 0.4961, 0.9999], [0.6403, 0.6352, 0.2789], [0.6421, 0.6344, 0.7792], [0.6429, 0.1359, 0.7806], [0.7493, 0.7333, 0.4955], [0.7500, 0.2331, 0.4956], [0.7509, 0.7338, 0.0010], [0.7536, 0.2376, 0.0031], [0.8929, 0.3764, 0.7808], [0.8925, 0.8762, 0.7802], [0.1462, 0.6467, 0.2852], [0.2492, 0.7262, 0.4913], [0.3884, 0.8714, 0.2837], [0.3912, 0.3722, 0.2850], [0.4982, 0.4958, 0.4911], [0.6433, 0.1470, 0.2852], [0.8895, 0.8686, 0.2846], [0.8923, 0.3737, 0.2834], [0.0548, 0.3388, 0.6371], [0.0577, 0.8371, 0.6374], [0.3010, 0.5311, 0.1444], [0.3041, 0.0267, 0.6356], [0.3062, 0.0341, 0.1429], [0.3076, 0.5353, 0.6369], [0.5507, 0.8330, 0.6356], [0.5536, 0.3399, 0.1424], [0.5536, 0.3402, 0.6354], [0.8003, 0.5303, 0.6358], [0.8047, 0.0300, 0.6370], [0.8077, 0.5359, 0.1423], [0.0518, 0.8470, 0.1434], [0.0563, 0.3528, 0.1452], [0.1961, 0.9328, 0.3862], [0.1970, 0.4351, 0.8899], [0.1972, 0.9346, 0.8898], [0.1980, 0.4352, 0.3861], [0.4455, 0.6832, 0.3869], [0.4465, 0.1835, 0.3860], [0.4471, 0.1856, 0.8899], [0.4471, 0.6853, 0.8890], [0.5537, 0.8510, 0.1447], [0.6948, 0.9325, 0.3828], [0.6957, 0.4336, 0.3862], [0.6964, 0.9352, 0.8891], [0.6975, 0.4352, 0.8899], [0.8002, 0.0284, 0.1449], [0.9448, 0.1828, 0.3838], [0.9462, 0.6854, 0.8892], [0.9471, 0.1854, 0.8890], [0.9477, 0.6828, 0.3857], [0.0161, 0.2343, 0.5216], [0.0222, 0.7344, 0.0325], [0.0242, 0.7345, 0.5226], [0.0282, 0.2403, 0.0336], [0.0612, 0.0481, 0.3746], [0.0676, 0.5528, 0.3753], [0.0692, 0.0571, 0.8850], [0.0690, 0.5575, 0.8849], [0.0741, 0.3139, 0.8957], [0.0744, 0.3158, 0.3938], [0.0738, 0.8135, 0.8960], [0.0773, 0.8107, 0.3935], [0.1272, 0.5131, 0.1486], [0.1272, 0.9990, 0.1410], [0.1325, 0.3526, 0.7529], [0.1333, 0.8508, 0.7534], [0.1341, 0.9990, 0.6382], [0.1367, 0.4967, 0.6371], [0.1445, 0.8318, 0.2489], [0.1515, 0.3402, 0.2504], [0.2663, 0.0229, 0.5220], [0.2666, 0.5140, 0.0288], [0.2704, 0.0159, 0.0276], [0.2718, 0.5288, 0.5226], [0.3161, 0.5564, 0.3776], [0.3173, 0.0520, 0.3764], [0.3189, 0.0583, 0.8850], [0.3196, 0.5600, 0.8869], [0.3232, 0.3115, 0.8940], [0.3235, 0.8098, 0.3978], [0.3251, 0.8119, 0.8964], [0.3309, 0.3178, 0.3988], [0.3743, 0.8599, 0.6290], [0.3830, 0.6445, 0.2538], [0.3837, 0.3733, 0.6370], [0.3839, 0.6340, 0.7539], [0.3849, 0.1272, 0.7515], [0.3846, 0.1467, 0.2531], [0.3847, 0.3766, 0.1502], [0.3848, 0.8789, 0.1502], [0.5137, 0.2402, 0.0268], [0.5187, 0.2300, 0.5223], [0.5199, 0.7262, 0.5221], [0.5265, 0.7376, 0.0339], [0.5632, 0.5501, 0.3794], [0.5648, 0.0512, 0.3726], [0.5688, 0.5571, 0.8845], [0.5699, 0.0580, 0.8866], [0.5711, 0.8145, 0.3918], [0.5736, 0.3135, 0.8942], [0.5738, 0.3145, 0.3943], [0.5756, 0.8154, 0.8979], [0.6239, 0.5018, 0.6291], [0.6267, 0.0109, 0.1491], [0.6281, 0.8521, 0.7532], [0.6332, 0.9922, 0.6371], [0.6345, 0.3550, 0.7514], [0.6357, 0.4945, 0.1406], [0.6380, 0.3438, 0.2536], [0.6462, 0.8345, 0.2489], [0.7672, 0.0202, 0.5218], [0.7697, 0.5158, 0.0261], [0.7705, 0.5185, 0.5218], [0.7735, 0.0280, 0.0336], [0.8130, 0.0543, 0.3721], [0.8191, 0.0595, 0.8853], [0.8191, 0.5541, 0.3786], [0.8192, 0.5596, 0.8856], [0.8220, 0.3087, 0.3908], [0.8243, 0.8135, 0.8971], [0.8246, 0.3117, 0.8958], [0.8266, 0.8131, 0.3949], [0.8775, 0.6319, 0.7523], [0.8800, 0.8763, 0.1506], [0.8825, 0.1323, 0.7529], [0.8831, 0.3740, 0.6377], [0.8859, 0.8713, 0.6369], [0.8867, 0.6458, 0.2537], [0.8876, 0.1543, 0.2481], [0.8887, 0.3788, 0.1501]],
  "delta_e_f_mev_per_atom": -2419.2,
  "sg": "P1",
  "vol_a3_per_fu": 498
}